# CaLa2ZrO6 | the Materials Project | PBE | optimized geometry
# Symmetry = No. 225
# Raw total energy = -7.97 eV per atom
# Formation energy = -3373.4 meV/atom
data_CaLa2ZrO6
_symmetry_space_group_name_H-M 'P 1'
_symmetry_Int_Tables_number 1
_symmetry_space_group_name_Hall 'P 1'
_cell_length_a 5.9808
_cell_length_b 5.9808
_cell_length_c 5.9808
_cell_angle_alpha 60.00
_cell_angle_beta 60.00
_cell_angle_gamma 60.00
loop_
_atom_site_label
_atom_site_fract_x
_atom_site_fract_y
_atom_site_fract_z
O1 0.2436 0.2436 0.7564
Ca1 0.5000 0.5000 0.5000
Zr1 0.0000 0.0000 0.0000
La1 0.7500 0.7500 0.7500
O2 0.7564 0.7564 0.2436
O3 0.7564 0.2436 0.7564
O4 0.2436 0.7564 0.7564
O5 0.7564 0.2436 0.2436
La2 0.2500 0.2500 0.2500
O6 0.2436 0.7564 0.2436